66
Lattice="-5.1060 0.0000 0.0000 -2.5207 -4.5583 0.0000 -1.3584 -0.3774 29.4041" Properties=species:S:1:pos:R:3 comment="Li3Mn5Fe2O12 GGA+U optimized geometry" formation_enthalpy_0k_mev_per_atom=-1942 total_energy_ev_per_cell=-448.429 spacegroup="P1 (1)" magnetic_moment_mub_per_fu=28.7 pbc="T T T"
O -7.6134 -4.0026 8.3616
Li -4.8016 -0.9815 22.0491
Mn -1.2938 -2.2428 0.0561
Li -7.3795 -3.9709 4.7627
Mn -6.9839 -2.4258 14.5824
O -3.9135 -0.8227 3.4781
O -2.6323 -0.8192 8.4747
Li -3.0577 -4.0716 19.7793
Li -5.9920 -3.9953 9.9720
Mn -5.6255 -3.8822 2.4556
O -4.6974 -1.0060 18.1838
Li -2.6669 -0.8685 12.2511
O -4.9291 -2.2922 8.4261
O -3.2417 -3.8389 23.2334
O -6.9172 -2.6350 11.1367
Mn -3.3942 -4.2169 26.9359
O -5.8040 -3.9991 6.2929
Fe -2.2656 -2.4318 22.0822
O -1.7065 -1.0778 28.0555
Mn -1.2339 -0.9865 17.1329
Mn -4.8198 -4.1038 22.0734
O -4.3805 -0.8873 11.2476
Li -3.8297 -0.6684 0.0152
O -5.4933 -2.7000 15.9263
Li -0.5424 -0.7327 2.3739
Fe -3.7607 -2.5243 17.1286
Mn -5.5749 -2.4362 19.7041
O -2.7488 -1.1656 15.9175
O -1.4002 -0.9586 21.0211
Li -6.6294 -4.1987 24.4174
O -4.2973 -3.7236 11.1926
Mn -4.1729 -3.9928 7.3370
O -3.9701 -2.7261 20.9601
O -4.8158 -1.2197 25.7321
Mn -4.1841 -0.8491 7.3327
Mn -3.3384 -1.0461 26.9851
Fe -3.1016 -2.2807 2.4532
Li -4.4559 -3.9993 14.5751
O -2.9036 -4.0471 16.1023
O -4.8834 -2.4125 1.3624
Mn -6.3139 -4.0774 17.1225
O -2.5988 -2.8400 25.7850
O -7.0245 -4.0468 28.1651
O -3.1373 -0.9816 23.1133
O -6.4259 -2.5641 3.6390
Fe -5.2308 -2.3390 12.2577
O -5.0324 -4.2034 25.9057
O -3.4318 -2.4001 6.2384
O -3.9932 -3.5991 3.5917
O -3.4495 -2.6425 13.4149
O -4.1453 -2.3917 28.1602
Mn -4.0730 -2.5695 24.4535
O -2.3199 -0.8876 1.4000
O -6.4340 -3.8587 20.9879
O -6.0800 -0.9078 13.2731
O -4.6855 -3.8863 18.2198
Mn -4.8557 -2.2789 4.8022
O -5.6181 -2.7316 23.2423
Fe -5.9271 -2.6305 26.9495
Mn -3.4302 -2.3051 9.9011
O -6.1454 -3.7061 13.3703
Mn -7.7746 -4.0000 12.2555
O -2.0539 -2.4245 18.2211
Fe -6.7027 -2.3687 7.3446
O -5.6419 -0.9205 6.0874
O -7.2129 -3.7149 1.4257